Density functional theory data (PBE) for crystalline Na3AlZnP2SO12 at its relaxed geometry.

Output
Total magnetic moment ... 0.000 μB/atom
Electronic total energy ... -6.24 eV/atom
ΔE_f ... -2.4862 eV/atom
Mass density ... 3.06 g/cm3

abc: 8.8099 8.7837 21.7266
angles: 90.52 90.00 120.10
Closest atoms and distances in Å follow each position.
Fractional coordinates of all 120 atoms:
Na (0.3621, 0.3564, 0.2471)  5 O 2.35-2.58
Na (0.9942, 0.6302, 0.2458)  4 O 2.29-2.49
Na (0.6360, 0.6302, 0.7458)  4 O 2.29-2.49
Na (0.9944, 0.3564, 0.7471)  5 O 2.35-2.58
Na (0.0287, 0.6898, 0.5804)  5 O 2.35-2.58
Na (0.6609, 0.9635, 0.5792)  4 O 2.29-2.49
Na (0.3027, 0.9635, 0.0792)  4 O 2.29-2.49
Na (0.6610, 0.6898, 0.0804)  5 O 2.35-2.58
Na (0.6954, 0.0231, 0.9138)  5 O 2.35-2.58
Na (0.3275, 0.2969, 0.9125)  4 O 2.29-2.49
Na (0.9693, 0.2969, 0.4125)  4 O 2.29-2.49
Na (0.3277, 0.0231, 0.4138)  5 O 2.35-2.58
Na (0.9856, 0.9884, 0.4968)  6 O 2.42-2.61
Na (0.0028, 0.9884, 0.9968)  6 O 2.42-2.61
Na (0.6523, 0.3218, 0.8301)  6 O 2.42-2.61
Na (0.6695, 0.3218, 0.3301)  6 O 2.42-2.61
Na (0.3190, 0.6551, 0.1634)  6 O 2.42-2.61
Na (0.3361, 0.6551, 0.6634)  6 O 2.42-2.61
Al (0.9934, 0.0120, 0.6488)  4 O 1.87-2.00
Al (0.0186, 0.0120, 0.1488)  4 O 1.87-2.00
Al (0.6601, 0.3454, 0.9821)  4 O 1.87-2.00
Al (0.6853, 0.3454, 0.4821)  4 O 1.87-2.00
Al (0.3267, 0.6787, 0.3155)  4 O 1.87-2.00
Al (0.3520, 0.6787, 0.8155)  4 O 1.87-2.00
Zn (0.9918, 0.9957, 0.3490)  6 O 1.97-2.21
Zn (0.0039, 0.9957, 0.8490)  6 O 1.97-2.21
Zn (0.6585, 0.3291, 0.6823)  6 O 1.97-2.21
Zn (0.6706, 0.3291, 0.1823)  6 O 1.97-2.21
Zn (0.3251, 0.6624, 0.0157)  6 O 1.97-2.21
Zn (0.3373, 0.6624, 0.5157)  6 O 1.97-2.21
P (0.2943, 0.9967, 0.2511)  4 O 1.53-1.58
P (0.0053, 0.2947, 0.2520)  4 O 1.52-1.60
P (0.2893, 0.2947, 0.7520)  4 O 1.52-1.60
P (0.7024, 0.9967, 0.7511)  4 O 1.53-1.58
P (0.9610, 0.3300, 0.5845)  4 O 1.53-1.58
P (0.6720, 0.6280, 0.5854)  4 O 1.52-1.60
P (0.9560, 0.6280, 0.0854)  4 O 1.52-1.60
P (0.3691, 0.3300, 0.0845)  4 O 1.53-1.58
P (0.6276, 0.6634, 0.9178)  4 O 1.53-1.58
P (0.3387, 0.9614, 0.9187)  4 O 1.52-1.60
P (0.6227, 0.9614, 0.4187)  4 O 1.52-1.60
P (0.0358, 0.6634, 0.4178)  4 O 1.53-1.58
S (0.7013, 0.7132, 0.2491)  4 O 1.46-1.50
S (0.0118, 0.7132, 0.7491)  4 O 1.46-1.50
S (0.3680, 0.0465, 0.5824)  4 O 1.46-1.50
S (0.6785, 0.0465, 0.0824)  4 O 1.46-1.50
S (0.0347, 0.3798, 0.9158)  4 O 1.46-1.50
S (0.3452, 0.3798, 0.4158)  4 O 1.46-1.50
O (0.2166, 0.0296, 0.3093)  1 P 1.53
O (0.8113, 0.7879, 0.3036)  1 S 1.46
O (0.9795, 0.1960, 0.3120)  1 P 1.52
O (0.2164, 0.1960, 0.8120)  1 P 1.52
O (0.9766, 0.7879, 0.8036)  1 S 1.46
O (0.8130, 0.0296, 0.8093)  1 P 1.53
O (0.7904, 0.9613, 0.6938)  1 P 1.58
O (0.1629, 0.1980, 0.6967)  1 P 1.56
O (0.0333, 0.8185, 0.6928)  1 S 1.49
O (0.7852, 0.8185, 0.1928)  1 S 1.49
O (0.0351, 0.1980, 0.1967)  1 P 1.56
O (0.1709, 0.9613, 0.1938)  1 P 1.58
O (0.8832, 0.3629, 0.6427)  1 P 1.53
O (0.4780, 0.1212, 0.6370)  1 S 1.46
O (0.6462, 0.5293, 0.6453)  1 P 1.52
O (0.8831, 0.5293, 0.1453)  1 P 1.52
O (0.6432, 0.1212, 0.1370)  1 S 1.46
O (0.4797, 0.3629, 0.1427)  1 P 1.53
O (0.4571, 0.2947, 0.0271)  1 P 1.58
O (0.8296, 0.5314, 0.0301)  1 P 1.56
O (0.7000, 0.1519, 0.0261)  1 S 1.49
O (0.4519, 0.1519, 0.5261)  1 S 1.49
O (0.7017, 0.5314, 0.5301)  1 P 1.56
O (0.8376, 0.2947, 0.5271)  1 P 1.58
O (0.5499, 0.6963, 0.9760)  1 P 1.53
O (0.1447, 0.4545, 0.9703)  1 S 1.46
O (0.3129, 0.8626, 0.9786)  1 P 1.52
O (0.5498, 0.8626, 0.4786)  1 P 1.52
O (0.3099, 0.4545, 0.4703)  1 S 1.46
O (0.1464, 0.6963, 0.4760)  1 P 1.53
O (0.1237, 0.6280, 0.3604)  1 P 1.58
O (0.4963, 0.8647, 0.3634)  1 P 1.56
O (0.3666, 0.4852, 0.3594)  1 S 1.49
O (0.1186, 0.4852, 0.8594)  1 S 1.49
O (0.3684, 0.8647, 0.8634)  1 P 1.56
O (0.5043, 0.6280, 0.8604)  1 P 1.58
O (0.0177, 0.8270, 0.4104)  1 P 1.53
O (0.8110, 0.9961, 0.4121)  1 P 1.54
O (0.1892, 0.1984, 0.4111)  1 S 1.50
O (0.0092, 0.1984, 0.9111)  1 S 1.50
O (0.1850, 0.9961, 0.9121)  1 P 1.54
O (0.8093, 0.8270, 0.9104)  1 P 1.53
O (0.9688, 0.1560, 0.5900)  1 P 1.57
O (0.1906, 0.0284, 0.5885)  1 S 1.50
O (0.8485, 0.8154, 0.5899)  1 P 1.60
O (0.9669, 0.8154, 0.0899)  1 P 1.60
O (0.8378, 0.0284, 0.0885)  1 S 1.50
O (0.1872, 0.1560, 0.0900)  1 P 1.57
O (0.6844, 0.1603, 0.7437)  1 P 1.53
O (0.4777, 0.3294, 0.7454)  1 P 1.54
O (0.8558, 0.5318, 0.7444)  1 S 1.50
O (0.6759, 0.5318, 0.2444)  1 S 1.50
O (0.8517, 0.3294, 0.2454)  1 P 1.54
O (0.4760, 0.1603, 0.2437)  1 P 1.53
O (0.6355, 0.4893, 0.9233)  1 P 1.57
O (0.8573, 0.3618, 0.9219)  1 S 1.50
O (0.5151, 0.1487, 0.9232)  1 P 1.60
O (0.6336, 0.1487, 0.4232)  1 P 1.60
O (0.5045, 0.3618, 0.4219)  1 S 1.50
O (0.8539, 0.4893, 0.4233)  1 P 1.57
O (0.3510, 0.4937, 0.0770)  1 P 1.53
O (0.1444, 0.6627, 0.0788)  1 P 1.54
O (0.5225, 0.8651, 0.0777)  1 S 1.50
O (0.3426, 0.8651, 0.5777)  1 S 1.50
O (0.5184, 0.6627, 0.5788)  1 P 1.54
O (0.1426, 0.4937, 0.5770)  1 P 1.53
O (0.3021, 0.8227, 0.2567)  1 P 1.57
O (0.5239, 0.6951, 0.2552)  1 S 1.50
O (0.1818, 0.4820, 0.2566)  1 P 1.60
O (0.3003, 0.4820, 0.7566)  1 P 1.60
O (0.1712, 0.6951, 0.7552)  1 S 1.50
O (0.5205, 0.8227, 0.7567)  1 P 1.57